A plane-wave DFT calculation with PBE was carried out for a relaxed In3AsSe3 crystal.

Structure (extended XYZ):
```
14
Lattice="4.246 0.000 0.000 0.000 17.092 0.000 0.000 0.000 6.130" Properties=species:S:1:pos:R:3 pbc="T T T"
In 0.000 1.081 0.000
In 0.000 9.675 0.011
In 0.000 13.773 0.043
In 2.123 3.319 3.108
In 2.123 7.416 3.076
In 2.123 16.011 3.065
As 0.000 15.970 4.648
As 2.123 1.122 1.583
Se 0.000 3.341 4.753
Se 0.000 7.417 4.724
Se 0.000 11.736 4.620
Se 2.123 5.356 1.555
Se 2.123 9.675 1.659
Se 2.123 13.750 1.688
```

The value obtained for the energy with MP2020 corrections is -3.96 eV/atom. As for the symmetry: Pmn2_1.

---

A plane-wave DFT calculation with PBE was carried out for a relaxed MgCu3NiSe4 crystal.

Structure (extended XYZ):
```
9
Lattice="5.726 0.000 0.000 0.000 5.726 0.000 0.000 0.000 5.726" Properties=species:S:1:pos:R:3 pbc="T T T"
Mg 0.000 0.000 0.000
Cu 0.000 2.863 2.863
Cu 2.863 0.000 2.863
Cu 2.863 2.863 0.000
Ni 2.863 2.863 2.863
Se 1.489 1.489 4.237
Se 1.489 4.237 1.489
Se 4.237 1.489 1.489
Se 4.237 4.237 4.237
```

The value obtained for the energy with MP2020 corrections is -4.24 eV/atom. As for the symmetry: P-43m.

---

A plane-wave DFT calculation with PBE was carried out for a relaxed Tb10Ti6O27 crystal.

Structure (extended XYZ):
```
43
Lattice="6.514 -3.654 0.000 6.514 3.654 0.000 -4.470 0.000 11.800" Properties=species:S:1:pos:R:3 pbc="T T T"
Tb 0.000 0.000 0.000
Tb -2.233 0.000 5.965
Tb 1.773 0.000 3.182
Tb 5.217 1.857 2.943
Tb 3.181 1.856 9.110
Tb 3.755 0.000 6.040
Tb 6.259 0.000 8.678
Tb 5.217 -1.857 2.943
Tb 8.622 0.000 2.680
Tb 3.181 -1.856 9.110
Ti 3.182 1.785 0.099
Ti -0.317 0.000 8.789
Ti 1.858 0.000 11.754
Ti 3.182 -1.785 0.099
Ti 7.432 1.729 5.886
Ti 7.432 -1.729 5.886
O 0.036 1.333 7.559
O -0.148 0.000 2.219
O -2.236 0.000 8.342
O 3.068 1.534 2.184
O 2.640 2.091 6.596
O 5.010 1.690 0.311
O 2.333 0.000 0.035
O 1.456 0.000 5.461
O 5.048 1.620 5.167
O 3.025 1.467 11.391
O 1.342 0.000 9.790
O 0.036 -1.333 7.559
O 5.375 1.788 9.953
O 7.526 1.548 4.014
O 3.068 -1.534 2.184
O 6.346 0.000 1.886
O 4.034 0.000 8.161
O 5.010 -1.690 0.311
O 2.640 -2.091 6.596
O 6.920 0.000 6.497
O 9.577 0.000 0.529
O 5.048 -1.620 5.167
O 3.025 -1.467 11.391
O 7.526 -1.548 4.014
O 8.288 0.000 9.596
O 10.565 0.000 3.716
O 5.375 -1.788 9.953
```

The value obtained for the energy with MP2020 corrections is -9.04 eV/atom. As for the symmetry: Cm.

---

A plane-wave DFT calculation with PBE was carried out for a relaxed PmCdAg2 crystal.

Structure (extended XYZ):
```
4
Lattice="0.000 3.565 3.565 3.565 0.000 3.565 3.565 3.565 0.000" Properties=species:S:1:pos:R:3 pbc="T T T"
Pm 0.000 0.000 0.000
Cd 3.565 3.565 3.565
Ag 1.782 1.782 1.782
Ag 5.347 5.347 5.347
```

As for the symmetry: Fm-3m.

---

A plane-wave DFT calculation with PBE was carried out for a relaxed LiSbP2O7 crystal.

Structure (extended XYZ):
```
22
Lattice="6.804 0.000 0.000 0.722 6.779 0.000 2.808 0.899 6.189" Properties=species:S:1:pos:R:3 pbc="T T T"
Li 2.070 1.641 2.631
Li 8.264 6.037 3.558
Sb 4.997 2.706 4.690
Sb 5.337 4.973 1.500
P 2.038 4.317 1.136
P 4.530 6.331 4.468
P 5.805 1.348 1.721
P 8.296 3.361 5.053
O 2.594 2.997 4.062
O 3.257 6.860 3.885
O 4.192 5.661 5.876
O 2.381 2.846 1.017
O 3.267 5.246 1.346
O 5.641 7.388 4.712
O 5.162 5.150 3.631
O 5.172 2.528 2.559
O 4.693 0.291 1.477
O 7.067 2.433 4.843
O 7.953 4.832 5.172
O 6.143 2.018 0.313
O 7.077 0.818 2.304
O 7.740 4.682 2.127
```

The value obtained for the energy with MP2020 corrections is -7.16 eV/atom. As for the symmetry: P-1.

---

A plane-wave DFT calculation with PBE was carried out for a relaxed NaYMg6 crystal.

Structure (extended XYZ):
```
16
Lattice="5.269 0.000 0.000 0.000 6.658 0.000 0.000 0.000 11.566" Properties=species:S:1:pos:R:3 pbc="T T T"
Mg 2.634 3.329 7.713
Mg 0.000 5.002 6.726
Mg 2.634 1.657 4.825
Na 2.634 3.329 1.875
Na 2.634 0.000 7.657
Mg 2.634 5.001 4.825
Mg 2.634 4.986 10.608
Mg 0.000 4.985 0.943
Mg 0.000 1.673 0.943
Mg 0.000 1.656 6.726
Mg 0.000 0.000 3.889
Mg 2.634 1.672 10.608
Y 0.000 0.000 9.684
Mg 0.000 3.329 9.672
Mg 2.634 0.000 1.930
Y 0.000 3.329 3.901
```

The energy above the lowest structure with this stoichiometry is 0.000 eV per atom.

---

A plane-wave DFT calculation with PBE was carried out for a relaxed Nd6S3O2F8 crystal.

Structure (extended XYZ):
```
38
Lattice="13.586 0.000 0.000 0.000 3.876 0.000 -6.784 0.000 11.879" Properties=species:S:1:pos:R:3 pbc="T T T"
Nd 0.000 0.000 0.000
Nd -4.560 1.938 9.069
Nd -1.630 1.938 6.178
Nd 1.122 1.938 3.493
Nd -1.041 0.000 9.854
Nd 1.773 0.000 6.887
Nd 4.713 0.000 4.088
Nd 7.046 1.938 1.310
Nd 2.882 0.000 10.907
Nd 5.793 0.000 7.836
Nd 7.877 1.938 5.400
Nd 10.682 1.938 2.329
S -3.831 0.000 6.955
S -1.118 0.000 3.973
S 1.111 1.938 9.214
S 4.019 1.938 6.242
S 8.583 0.000 2.930
S 5.163 1.938 10.370
O 0.730 1.938 5.837
O 9.253 1.938 0.416
O 6.537 0.000 5.574
O 7.177 1.938 7.660
F -0.462 1.938 1.517
F -5.385 1.938 11.393
F -3.396 0.000 10.140
F 1.390 0.000 1.949
F -2.063 1.938 8.723
F -0.692 0.000 7.400
F 2.238 0.000 4.452
F -1.321 1.938 11.315
F 3.507 1.938 3.092
F 5.591 0.000 1.815
F 0.509 0.000 11.692
F 6.137 1.938 3.593
F 3.465 0.000 8.589
F 11.309 0.000 0.954
F 10.188 1.938 4.632
F 7.624 0.000 9.610
```

The value obtained for the energy with MP2020 corrections is -7.30 eV/atom. As for the symmetry: Pm.

---

A plane-wave DFT calculation with PBE was carried out for a relaxed MgScB crystal.

Structure (extended XYZ):
```
3
Lattice="0.000 2.907 2.907 2.907 0.000 2.907 2.907 2.907 0.000" Properties=species:S:1:pos:R:3 pbc="T T T"
Mg 0.000 0.000 0.000
Sc 2.907 2.907 2.907
B 1.454 1.454 1.454
```

As for the symmetry: F-43m.

---

Number 1: calculated density 4.90 g/cm3, formation energy from the elements -4.342 eV/f.u.. Number 2: calculated density 5.21 g/cm3, formation energy from the elements -4.499 eV/f.u.. Number 3: calculated density 6.82 g/cm3, formation energy from the elements -161.528 eV/f.u.. Number 4: calculated density 8.67 g/cm3, formation energy from the elements -1.153 eV/f.u.. Number 5: calculated density 3.52 g/cm3, formation energy from the elements -27.248 eV/f.u.. Number 6: calculated density 2.11 g/cm3, formation energy from the elements 0.520 eV/f.u.. Number 7: calculated density 6.08 g/cm3, formation energy from the elements -72.506 eV/f.u.. Number 8: calculated density 2.71 g/cm3, formation energy from the elements -0.307 eV/f.u..